P | Below is LiFe2P2O8 after structural relaxation, with properties calculated at the PBE+U level.

a b c (Å): 10.335 5.176 13.893
angles (deg): 90.00 90.00 90.00
Space group Pca2_1 (No. 29)
Asymmetric unit:
Li 0.223 0.052 0.000 x4
Fe 0.037 0.562 0.004 x4
Fe 0.224 0.058 0.250 x4
P 0.030 0.938 0.626 x4
P 0.216 0.555 0.379 x4
O 0.008 0.644 0.609 x4
O 0.033 0.981 0.221 x4
O 0.039 0.922 0.038 x4
O 0.072 0.493 0.400 x4
O 0.176 0.998 0.623 x4
O 0.206 0.437 0.968 x4
O 0.244 0.427 0.786 x4
O 0.244 0.849 0.380 x4

=====

Q | Below is LiFe2P2O8 after structural relaxation, with properties calculated at the PBE+U level.

a b c (Å): 4.551 5.208 7.698
angles (deg): 88.53 77.37 75.96
Space group P1 (No. 1)
Asymmetric unit:
Li 0.000 0.000 0.000 x1
Fe 0.633 0.543 0.434 x1
Fe 0.739 0.064 0.634 x1
P 0.036 0.496 0.757 x1
P 0.330 0.132 0.289 x1
O 0.027 0.660 0.915 x1
O 0.322 0.010 0.116 x1
O 0.380 0.403 0.638 x1
O 0.483 0.370 0.264 x1
O 0.514 0.921 0.405 x1
O 0.844 0.668 0.625 x1
O 0.923 0.239 0.801 x1
O 0.994 0.231 0.412 x1

=====

Which of them is the most stable? Correct choice: P.

=====

P | Below is LiFe2P2O8 after structural relaxation, with properties calculated at the PBE+U level.

a b c (Å): 6.264 5.503 8.126
angles (deg): 90.00 90.00 90.00
Space group Amm2 (No. 38)
Asymmetric unit:
Li 0.000 0.000 0.000 x2
Fe 0.272 0.000 0.334 x4
P 0.000 0.000 0.676 x2
P 0.500 0.000 0.982 x2
O 0.000 0.229 0.793 x4
O 0.199 0.000 0.570 x4
O 0.297 0.000 0.088 x4
O 0.500 0.232 0.870 x4

=====

Q | Below is LiFe2P2O8 after structural relaxation, with properties calculated at the PBE+U level.

a b c (Å): 8.176 5.426 6.366
angles (deg): 90.00 90.85 90.00
Space group Cm (No. 8)
Asymmetric unit:
Li 0.000 0.000 0.000 x2
Fe 0.166 0.500 0.734 x2
Fe 0.168 0.500 0.254 x2
P 0.019 0.000 0.503 x2
P 0.325 0.000 0.992 x2
O 0.131 0.236 0.511 x4
O 0.207 0.232 0.982 x4
O 0.408 0.500 0.699 x2
O 0.421 0.500 0.296 x2
O 0.423 0.000 0.195 x2
O 0.435 0.000 0.799 x2

Output
Largest piezoelectric modulus ... 0.33 C/m2

=====

Which of them is the most stable? Correct choice: Q.

=====

P | Below is LiFe2P2O8 after structural relaxation, with properties calculated at the PBE+U level.

a b c (Å): 6.914 7.701 6.951
angles (deg): 90.00 91.61 90.00
Space group C2 (No. 5)
Asymmetric unit:
Li 0.000 0.000 0.000 x2
Fe 0.000 0.015 0.500 x2
Fe 0.000 0.492 0.000 x2
P 0.243 0.748 0.753 x4
O 0.060 0.635 0.791 x4
O 0.073 0.133 0.245 x4
O 0.217 0.848 0.565 x4
O 0.239 0.377 0.069 x4

=====

Q | Below is LiFe2P2O8 after structural relaxation, with properties calculated at the PBE+U level.

a b c (Å): 5.179 6.700 10.735
angles (deg): 90.00 91.72 90.00
Space group Pc (No. 7)
Asymmetric unit:
Li 0.000 0.241 0.000 x2
Fe 0.002 0.468 0.250 x2
Fe 0.496 0.052 0.420 x2
P 0.500 0.224 0.155 x2
P 0.997 0.278 0.507 x2
O 0.292 0.249 0.489 x2
O 0.361 0.410 0.199 x2
O 0.385 0.169 0.020 x2
O 0.447 0.044 0.245 x2
O 0.794 0.255 0.147 x2
O 0.860 0.088 0.445 x2
O 0.920 0.471 0.432 x2
O 0.927 0.289 0.643 x2

=====

Which of them is the most stable? Correct choice: P.

=====

P | Below is Li2FeP2O7 after structural relaxation, with properties calculated at the PBE+U level.

a b c (Å): 6.544 8.954 10.823
angles (deg): 103.79 106.06 104.56
Space group P-1 (No. 2)
Asymmetric unit:
Li 0.041 0.259 0.471 x2
Li 0.043 0.260 0.971 x2
Li 0.334 0.541 0.873 x2
Li 0.335 0.540 0.373 x2
Fe 0.260 0.865 0.880 x2
Fe 0.261 0.866 0.380 x2
P 0.252 0.101 0.669 x2
P 0.252 0.102 0.169 x2
P 0.329 0.626 0.122 x2
P 0.329 0.626 0.621 x2
O 0.052 0.154 0.107 x2
O 0.053 0.155 0.609 x2
O 0.183 0.950 0.709 x2
O 0.186 0.952 0.211 x2
O 0.220 0.639 0.730 x2
O 0.222 0.639 0.231 x2
O 0.225 0.682 0.004 x2
O 0.230 0.686 0.505 x2
O 0.336 0.454 0.562 x2
O 0.340 0.455 0.065 x2
O 0.390 0.085 0.574 x2
O 0.391 0.086 0.074 x2
O 0.404 0.260 0.305 x2
O 0.406 0.256 0.806 x2

=====

Q | Below is Li2FeP2O7 after structural relaxation, with properties calculated at the PBE+U level.

a b c (Å): 5.132 7.050 16.317
angles (deg): 84.65 81.16 69.79
Space group P1 (No. 1)
Asymmetric unit:
Li 0.000 0.000 0.000 x1
Li 0.015 0.400 0.387 x1
Li 0.339 0.560 0.871 x1
Li 0.357 0.961 0.258 x1
Li 0.498 0.506 0.499 x1
Li 0.522 0.900 0.886 x1
Li 0.837 0.060 0.372 x1
Li 0.854 0.460 0.760 x1
Fe 0.408 0.247 0.048 x1
Fe 0.446 0.214 0.710 x1
Fe 0.906 0.746 0.549 x1
Fe 0.949 0.713 0.210 x1
P 0.019 0.002 0.807 x1
P 0.339 0.960 0.450 x1
P 0.393 0.685 0.682 x1
P 0.470 0.774 0.075 x1
P 0.513 0.503 0.308 x1
P 0.843 0.457 0.950 x1
P 0.887 0.186 0.183 x1
P 0.971 0.272 0.577 x1
O 0.082 0.319 0.650 x1
O 0.118 0.185 0.800 x1
O 0.130 0.860 0.881 x1
O 0.158 0.403 0.954 x1
O 0.159 0.237 0.161 x1
O 0.161 0.882 0.722 x1
O 0.198 0.557 0.304 x1
O 0.199 0.724 0.098 x1
O 0.216 0.083 0.535 x1
O 0.227 0.102 0.377 x1
O 0.228 0.782 0.459 x1
O 0.281 0.642 0.608 x1
O 0.427 0.950 0.008 x1
O 0.434 0.508 0.750 x1
O 0.586 0.815 0.149 x1
O 0.611 0.686 0.301 x1
O 0.621 0.362 0.382 x1
O 0.653 0.383 0.223 x1
O 0.655 0.898 0.451 x1
O 0.664 0.735 0.661 x1
O 0.704 0.577 0.035 x1
O 0.706 0.055 0.804 x1
O 0.711 0.208 0.600 x1
O 0.734 0.599 0.877 x1
O 0.743 0.275 0.957 x1
O 0.772 0.145 0.109 x1
O 0.916 0.450 0.510 x1
O 0.930 0.010 0.250 x1

=====

Which of them is the most stable? Correct choice: P.

=====

P | Below is Li3Fe4P6O24 after structural relaxation, with properties calculated at the PBE+U level.

a b c (Å): 8.640 8.681 8.819
angles (deg): 60.61 60.72 60.50
Space group P1 (No. 1)
Asymmetric unit:
Li 0.000 0.000 0.000 x1
Li 0.139 0.467 0.788 x1
Li 0.672 0.516 0.495 x1
Fe 0.188 0.301 0.516 x1
Fe 0.393 0.535 0.881 x1
Fe 0.679 0.814 0.014 x1
Fe 0.886 0.036 0.379 x1
P 0.073 0.917 0.704 x1
P 0.285 0.712 0.187 x1
P 0.509 0.213 0.687 x1
P 0.568 0.131 0.201 x1
P 0.792 0.635 0.701 x1
P 0.994 0.416 0.198 x1
O 0.027 0.969 0.535 x1
O 0.030 0.370 0.373 x1
O 0.101 0.079 0.708 x1
O 0.103 0.881 0.217 x1
O 0.152 0.466 0.014 x1
O 0.250 0.738 0.703 x1
O 0.272 0.528 0.344 x1
O 0.310 0.713 0.000 x1
O 0.313 0.252 0.686 x1
O 0.417 0.136 0.389 x1
O 0.451 0.740 0.185 x1
O 0.491 0.383 0.717 x1
O 0.522 0.319 0.049 x1
O 0.542 0.026 0.845 x1
O 0.575 0.963 0.173 x1
O 0.639 0.589 0.702 x1
O 0.665 0.215 0.499 x1
O 0.763 0.638 0.887 x1
O 0.765 0.092 0.194 x1
O 0.790 0.825 0.545 x1
O 0.805 0.585 0.210 x1
O 0.909 0.880 0.891 x1
O 0.979 0.249 0.193 x1
O 0.985 0.479 0.664 x1

=====

Q | Below is Li3Fe4P6O24 after structural relaxation, with properties calculated at the PBE+U level.

a b c (Å): 6.420 8.600 8.832
angles (deg): 93.29 106.60 105.52
Space group P-1 (No. 2)
Asymmetric unit:
Li 0.000 0.000 0.000 x1
Li 0.259 0.788 0.208 x2
Fe 0.129 0.864 0.561 x2
Fe 0.371 0.439 0.127 x2
P 0.129 0.639 0.846 x2
P 0.246 0.210 0.785 x2
P 0.355 0.152 0.355 x2
O 0.027 0.235 0.670 x2
O 0.096 0.488 0.156 x2
O 0.116 0.678 0.677 x2
O 0.165 0.788 0.965 x2
O 0.181 0.108 0.452 x2
O 0.232 0.237 0.958 x2
O 0.256 0.034 0.753 x2
O 0.263 0.023 0.207 x2
O 0.324 0.557 0.907 x2
O 0.386 0.326 0.312 x2
O 0.415 0.850 0.528 x2
O 0.468 0.327 0.771 x2

=====

Which of them is the most stable? Correct choice: P.